1.
# Sm2Ga2Fe15C2 PBE optimized geometry
# - ΔE_f (eV per atom) = 0.147
# - M_tot (μB/atom) = 0.002
data_Sm2Ga2Fe15C2
_cell_length_a 6.516
_cell_length_b 6.516
_cell_length_c 6.579
_cell_angle_alpha 97.17
_cell_angle_beta 97.17
_cell_angle_gamma 83.00
_symmetry_space_group_name_H-M 'P 1'
_symmetry_Int_Tables_number 1
loop_
_symmetry_equiv_pos_as_xyz
'x,y,z'
loop_
_atom_site_label
_atom_site_fract_x
_atom_site_fract_y
_atom_site_fract_z
_atom_site_occupancy
Sm1 0.000 0.000 0.000 1
Sm2 0.688 0.688 0.337 1
Ga1 0.188 0.682 0.331 1
Ga2 0.682 0.188 0.331 1
Fe1 0.002 0.493 0.003 1
Fe2 0.008 0.008 0.532 1
Fe3 0.057 0.337 0.381 1
Fe4 0.063 0.628 0.672 1
Fe5 0.248 0.248 0.763 1
Fe6 0.337 0.057 0.381 1
Fe7 0.342 0.342 0.161 1
Fe8 0.346 0.631 0.957 1
Fe9 0.347 0.845 0.670 1
Fe10 0.440 0.440 0.579 1
Fe11 0.493 0.002 0.003 1
Fe12 0.628 0.063 0.672 1
Fe13 0.631 0.346 0.957 1
Fe14 0.688 0.688 0.814 1
Fe15 0.845 0.347 0.670 1
C1 0.356 0.855 0.159 1
C2 0.855 0.356 0.159 1



2.
# ZrAl8Fe4 PBE optimized geometry
# - ΔE_f (eV per atom) = -0.430
# - M_tot (μB/atom) = 0.341
data_ZrAl8Fe4
_cell_length_a 6.544
_cell_length_b 6.544
_cell_length_c 6.544
_cell_angle_alpha 98.35
_cell_angle_beta 98.35
_cell_angle_gamma 135.21
_symmetry_space_group_name_H-M 'P 1'
_symmetry_Int_Tables_number 1
loop_
_symmetry_equiv_pos_as_xyz
'x,y,z'
loop_
_atom_site_label
_atom_site_fract_x
_atom_site_fract_y
_atom_site_fract_z
_atom_site_occupancy
Zr1 0.000 0.000 0.000 1
Al1 0.000 0.337 0.337 1
Al2 0.000 0.663 0.663 1
Al3 0.282 0.500 0.782 1
Al4 0.337 0.000 0.337 1
Al5 0.500 0.282 0.782 1
Al6 0.500 0.718 0.218 1
Al7 0.663 0.000 0.663 1
Al8 0.718 0.500 0.218 1
Fe1 0.000 0.000 0.500 1
Fe2 0.000 0.500 0.000 1
Fe3 0.500 0.000 0.000 1
Fe4 0.500 0.500 0.500 1



3.
# CaCuP4O12 PBE optimized geometry
# - ΔE_f (eV per atom) = -2.599
# - total energy after the MP2020 corrections (eV/cell) = -267.84
# - M_tot (μB/atom) = 0.056
data_CaCuP4O12
_cell_length_a 7.441
_cell_length_b 7.441
_cell_length_c 10.270
_cell_angle_alpha 111.47
_cell_angle_beta 111.47
_cell_angle_gamma 72.22
_symmetry_space_group_name_H-M 'P 1'
_symmetry_Int_Tables_number 1
loop_
_symmetry_equiv_pos_as_xyz
'x,y,z'
loop_
_atom_site_label
_atom_site_fract_x
_atom_site_fract_y
_atom_site_fract_z
_atom_site_occupancy
Ca1 0.050 0.950 0.750 1
Ca2 0.950 0.050 0.250 1
Cu1 0.000 0.500 0.500 1
Cu2 0.500 0.000 0.000 1
P1 0.270 0.718 0.024 1
P2 0.282 0.730 0.476 1
P3 0.307 0.316 0.809 1
P4 0.316 0.307 0.309 1
P5 0.684 0.693 0.691 1
P6 0.693 0.684 0.191 1
P7 0.718 0.270 0.524 1
P8 0.730 0.282 0.976 1
O1 0.103 0.829 0.086 1
O2 0.131 0.303 0.340 1
O3 0.171 0.897 0.414 1
O4 0.197 0.683 0.572 1
O5 0.198 0.336 0.661 1
O6 0.227 0.501 0.932 1
O7 0.303 0.131 0.840 1
O8 0.317 0.803 0.928 1
O9 0.328 0.534 0.348 1
O10 0.336 0.198 0.161 1
O11 0.466 0.672 0.152 1
O12 0.499 0.773 0.568 1
O13 0.501 0.227 0.432 1
O14 0.534 0.328 0.848 1
O15 0.664 0.802 0.839 1
O16 0.672 0.466 0.652 1
O17 0.683 0.197 0.072 1
O18 0.697 0.869 0.160 1
O19 0.773 0.499 0.068 1
O20 0.802 0.664 0.339 1
O21 0.803 0.317 0.428 1
O22 0.829 0.103 0.586 1
O23 0.869 0.697 0.660 1
O24 0.897 0.171 0.914 1



4.
# HfBr3 PBE optimized geometry
# - ΔE_f (eV per atom) = -1.640
# - total energy after the MP2020 corrections (eV/cell) = -42.85
data_HfBr3
_cell_length_a 10.375
_cell_length_b 10.375
_cell_length_c 3.418
_cell_angle_alpha 90.00
_cell_angle_beta 90.00
_cell_angle_gamma 120.00
_symmetry_space_group_name_H-M 'P 1'
_symmetry_Int_Tables_number 1
loop_
_symmetry_equiv_pos_as_xyz
'x,y,z'
loop_
_atom_site_label
_atom_site_fract_x
_atom_site_fract_y
_atom_site_fract_z
_atom_site_occupancy
Hf1 0.333 0.667 0.250 1
Hf2 0.667 0.333 0.750 1
Br1 0.218 0.437 0.750 1
Br2 0.218 0.782 0.750 1
Br3 0.437 0.218 0.250 1
Br4 0.563 0.782 0.750 1
Br5 0.782 0.218 0.250 1
Br6 0.782 0.563 0.250 1



5.
# K2HgS2 PBE optimized geometry
# - ΔE_f (eV per atom) = -1.037
# - total energy after the MP2020 corrections (eV/cell) = -63.93
data_K2HgS2
_cell_length_a 10.839
_cell_length_b 8.123
_cell_length_c 7.431
_cell_angle_alpha 90.00
_cell_angle_beta 90.00
_cell_angle_gamma 90.00
_symmetry_space_group_name_H-M 'P 1'
_symmetry_Int_Tables_number 1
loop_
_symmetry_equiv_pos_as_xyz
'x,y,z'
loop_
_atom_site_label
_atom_site_fract_x
_atom_site_fract_y
_atom_site_fract_z
_atom_site_occupancy
K1 0.104 0.250 0.000 1
K2 0.104 0.250 0.500 1
K3 0.388 0.049 0.250 1
K4 0.388 0.451 0.750 1
K5 0.612 0.549 0.250 1
K6 0.612 0.951 0.750 1
K7 0.896 0.750 0.000 1
K8 0.896 0.750 0.500 1
Hg1 0.215 0.664 0.250 1
Hg2 0.215 0.836 0.750 1
Hg3 0.785 0.164 0.250 1
Hg4 0.785 0.336 0.750 1
S1 0.107 0.585 0.750 1
S2 0.107 0.915 0.250 1
S3 0.335 0.077 0.750 1
S4 0.335 0.423 0.250 1
S5 0.665 0.577 0.750 1
S6 0.665 0.923 0.250 1
S7 0.893 0.085 0.750 1
S8 0.893 0.415 0.250 1



6.
# DyHoC4 PBE optimized geometry
# - ΔE_f (eV per atom) = -0.191
# - M_tot (μB/atom) = 0.001
data_DyHoC4
_cell_length_a 3.650
_cell_length_b 3.650
_cell_length_c 6.200
_cell_angle_alpha 90.00
_cell_angle_beta 90.00
_cell_angle_gamma 90.00
_symmetry_space_group_name_H-M 'P 1'
_symmetry_Int_Tables_number 1
loop_
_symmetry_equiv_pos_as_xyz
'x,y,z'
loop_
_atom_site_label
_atom_site_fract_x
_atom_site_fract_y
_atom_site_fract_z
_atom_site_occupancy
Dy1 0.000 0.000 0.000 1
Ho1 0.500 0.500 0.500 1
C1 0.000 0.000 0.395 1
C2 0.000 0.000 0.605 1
C3 0.500 0.500 0.105 1
C4 0.500 0.500 0.895 1



7.
# Na14La4Y4Si7S5O48 PBE optimized geometry
# - ΔE_f (eV per atom) = -2.847
# - total energy after the MP2020 corrections (eV/cell) = -1781.10
# - M_tot (μB/atom) = 0.000
data_Na14La4Y4Si7S5O48
_cell_length_a 9.648
_cell_length_b 16.668
_cell_length_c 23.747
_cell_angle_alpha 89.74
_cell_angle_beta 89.97
_cell_angle_gamma 89.92
_symmetry_space_group_name_H-M 'P 1'
_symmetry_Int_Tables_number 1
loop_
_symmetry_equiv_pos_as_xyz
'x,y,z'
loop_
_atom_site_label
_atom_site_fract_x
_atom_site_fract_y
_atom_site_fract_z
_atom_site_occupancy
Na1 0.000 0.000 0.000 1
Na2 0.000 0.650 0.661 1
Na3 0.019 0.313 0.982 1
Na4 0.033 0.651 0.318 1
Na5 0.052 0.983 0.644 1
Na6 0.151 0.808 0.232 1
Na7 0.153 0.478 0.902 1
Na8 0.175 0.131 0.574 1
Na9 0.181 0.131 0.068 1
Na10 0.185 0.797 0.742 1
Na11 0.193 0.478 0.413 1
Na12 0.297 0.649 0.815 1
Na13 0.301 0.984 0.140 1
Na14 0.330 0.314 0.486 1
Na15 0.345 0.649 0.144 1
Na16 0.352 0.999 0.503 1
Na17 0.363 0.948 0.826 1
Na18 0.377 0.296 0.161 1
Na19 0.472 0.793 0.668 1
Na20 0.483 0.451 0.323 1
Na21 0.498 0.503 0.997 1
Na22 0.505 0.149 0.649 1
Na23 0.517 0.810 0.978 1
Na24 0.533 0.151 0.315 1
Na25 0.546 0.489 0.646 1
Na26 0.649 0.310 0.232 1
Na27 0.655 0.974 0.910 1
Na28 0.664 0.631 0.575 1
Na29 0.670 0.632 0.066 1
Na30 0.688 0.968 0.411 1
Na31 0.699 0.312 0.735 1
Na32 0.798 0.485 0.140 1
Na33 0.817 0.151 0.818 1
Na34 0.830 0.811 0.486 1
Na35 0.846 0.149 0.142 1
Na36 0.849 0.503 0.505 1
Na37 0.850 0.119 0.494 1
Na38 0.871 0.464 0.825 1
Na39 0.880 0.795 0.161 1
Na40 0.971 0.300 0.666 1
Na41 0.984 0.951 0.322 1
Na42 0.997 0.619 0.979 1
La1 0.163 0.480 0.754 1
La2 0.164 0.808 0.393 1
La3 0.177 0.148 0.924 1
La4 0.177 0.803 0.888 1
La5 0.181 0.472 0.251 1
La6 0.181 0.492 0.557 1
La7 0.664 0.308 0.391 1
La8 0.666 0.992 0.055 1
La9 0.667 0.971 0.752 1
La10 0.673 0.648 0.425 1
La11 0.680 0.975 0.251 1
La12 0.685 0.310 0.892 1
Y1 0.167 0.146 0.720 1
Y2 0.175 0.486 0.058 1
Y3 0.175 0.810 0.586 1
Y4 0.176 0.809 0.085 1
Y5 0.180 0.148 0.221 1
Y6 0.182 0.148 0.424 1
Y7 0.672 0.310 0.587 1
Y8 0.674 0.985 0.559 1
Y9 0.675 0.310 0.085 1
Y10 0.678 0.647 0.920 1
Y11 0.680 0.649 0.725 1
Y12 0.682 0.646 0.220 1
Si1 0.018 0.658 0.487 1
Si2 0.018 0.964 0.488 1
Si3 0.019 0.296 0.821 1
Si4 0.022 0.631 0.158 1
Si5 0.323 0.296 0.323 1
Si6 0.324 0.960 0.988 1
Si7 0.332 0.657 0.992 1
Si8 0.335 0.635 0.661 1
Si9 0.364 0.978 0.654 1
Si10 0.485 0.476 0.156 1
Si11 0.520 0.135 0.163 1
Si12 0.521 0.156 0.489 1
Si13 0.522 0.461 0.487 1
Si14 0.527 0.797 0.823 1
Si15 0.827 0.798 0.321 1
Si16 0.828 0.131 0.656 1
Si17 0.829 0.465 0.990 1
Si18 0.832 0.158 0.989 1
Si19 0.859 0.476 0.653 1
Si20 0.976 0.644 0.821 1
Si21 0.988 0.977 0.155 1
S1 0.019 0.324 0.152 1
S2 0.027 0.997 0.820 1
S3 0.320 0.000 0.323 1
S4 0.329 0.322 0.653 1
S5 0.370 0.315 0.994 1
S6 0.373 0.644 0.317 1
S7 0.476 0.144 0.817 1
S8 0.478 0.817 0.493 1
S9 0.518 0.822 0.154 1
S10 0.529 0.498 0.822 1
S11 0.821 0.496 0.320 1
S12 0.828 0.825 0.650 1
S13 0.870 0.808 0.992 1
S14 0.881 0.143 0.322 1
S15 0.978 0.307 0.490 1
O1 0.000 0.141 0.658 1
O2 0.001 0.469 0.995 1
O3 0.001 0.803 0.318 1
O4 0.004 0.159 0.992 1
O5 0.042 0.374 0.203 1
O6 0.048 0.913 0.430 1
O7 0.054 0.570 0.106 1
O8 0.058 0.231 0.486 1
O9 0.061 0.043 0.872 1
O10 0.065 0.242 0.766 1
O11 0.068 0.250 0.880 1
O12 0.070 0.563 0.487 1
O13 0.071 0.713 0.540 1
O14 0.072 0.697 0.427 1
O15 0.074 0.376 0.495 1
O16 0.074 0.561 0.825 1
O17 0.080 0.388 0.822 1
O18 0.081 0.243 0.159 1
O19 0.082 0.041 0.770 1
O20 0.082 0.057 0.484 1
O21 0.082 0.721 0.818 1
O22 0.084 0.059 0.161 1
O23 0.084 0.362 0.102 1
O24 0.085 0.591 0.217 1
O25 0.088 0.897 0.151 1
O26 0.092 0.917 0.820 1
O27 0.093 0.919 0.542 1
O28 0.094 0.720 0.151 1
O29 0.248 0.049 0.990 1
O30 0.254 0.722 0.651 1
O31 0.257 0.919 0.324 1
O32 0.258 0.697 0.937 1
O33 0.260 0.900 0.648 1
O34 0.263 0.913 0.044 1
O35 0.266 0.042 0.272 1
O36 0.266 0.390 0.325 1
O37 0.266 0.565 0.995 1
O38 0.266 0.597 0.718 1
O39 0.268 0.240 0.661 1
O40 0.268 0.356 0.601 1
O41 0.272 0.062 0.658 1
O42 0.275 0.248 0.380 1
O43 0.276 0.246 0.266 1
O44 0.279 0.046 0.374 1
O45 0.279 0.244 0.992 1
O46 0.282 0.388 0.998 1
O47 0.282 0.716 0.318 1
O48 0.283 0.571 0.318 1
O49 0.283 0.912 0.930 1
O50 0.296 0.711 0.048 1
O51 0.301 0.375 0.702 1
O52 0.314 0.569 0.610 1
O53 0.349 0.148 0.486 1
O54 0.351 0.150 0.163 1
O55 0.351 0.459 0.489 1
O56 0.354 0.804 0.819 1
O57 0.364 0.814 0.149 1
O58 0.376 0.487 0.103 1
O59 0.376 0.492 0.821 1
O60 0.388 0.139 0.868 1
O61 0.388 0.146 0.766 1
O62 0.388 0.811 0.543 1
O63 0.393 0.824 0.441 1
O64 0.394 0.460 0.214 1
O65 0.457 0.323 0.943 1
O66 0.459 0.308 0.045 1
O67 0.459 0.962 0.711 1
O68 0.461 0.640 0.368 1
O69 0.461 0.646 0.266 1
O70 0.469 0.989 0.600 1
O71 0.474 0.996 0.322 1
O72 0.483 0.312 0.649 1
O73 0.495 0.959 0.989 1
O74 0.498 0.299 0.319 1
O75 0.503 0.650 0.987 1
O76 0.504 0.650 0.662 1
O77 0.543 0.067 0.115 1
O78 0.544 0.874 0.204 1
O79 0.556 0.213 0.544 1
O80 0.559 0.414 0.428 1
O81 0.566 0.071 0.818 1
O82 0.566 0.216 0.818 1
O83 0.567 0.544 0.874 1
O84 0.567 0.890 0.496 1
O85 0.570 0.745 0.492 1
O86 0.573 0.749 0.766 1
O87 0.575 0.749 0.881 1
O88 0.578 0.560 0.159 1
O89 0.578 0.740 0.162 1
O90 0.581 0.541 0.771 1
O91 0.581 0.857 0.103 1
O92 0.583 0.098 0.223 1
O93 0.586 0.411 0.541 1
O94 0.586 0.891 0.826 1
O95 0.588 0.065 0.494 1
O96 0.588 0.397 0.151 1
O97 0.590 0.194 0.432 1
O98 0.596 0.418 0.823 1
O99 0.598 0.221 0.152 1
O100 0.599 0.549 0.489 1
O101 0.756 0.396 0.651 1
O102 0.756 0.415 0.320 1
O103 0.757 0.220 0.651 1
O104 0.759 0.555 0.987 1
O105 0.760 0.419 0.045 1
O106 0.762 0.088 0.713 1
O107 0.763 0.744 0.656 1
O108 0.764 0.559 0.658 1
O109 0.765 0.540 0.270 1
O110 0.766 0.891 0.322 1
O111 0.767 0.864 0.600 1
O112 0.773 0.877 0.997 1
O113 0.775 0.201 0.931 1
O114 0.777 0.753 0.380 1
O115 0.780 0.208 0.045 1
O116 0.780 0.744 0.266 1
O117 0.782 0.063 0.987 1
O118 0.786 0.540 0.372 1
O119 0.787 0.214 0.321 1
O120 0.788 0.732 0.988 1
O121 0.795 0.068 0.323 1
O122 0.798 0.073 0.601 1
O123 0.798 0.411 0.933 1
O124 0.805 0.875 0.700 1
O125 0.845 0.300 0.817 1
O126 0.846 0.658 0.491 1
O127 0.847 0.968 0.494 1
O128 0.851 0.642 0.160 1
O129 0.867 0.315 0.146 1
O130 0.873 0.993 0.817 1
O131 0.878 0.640 0.878 1
O132 0.883 0.643 0.763 1
O133 0.886 0.990 0.100 1
O134 0.887 0.299 0.541 1
O135 0.890 0.319 0.439 1
O136 0.890 0.962 0.212 1
O137 0.956 0.487 0.596 1
O138 0.958 0.800 0.043 1
O139 0.958 0.821 0.942 1
O140 0.961 0.459 0.707 1
O141 0.968 0.145 0.270 1
O142 0.970 0.141 0.373 1
O143 0.975 0.491 0.317 1
O144 0.980 0.815 0.645 1



8.
# Nd3Ga5SiO14 PBE optimized geometry
# - ΔE_f (eV per atom) = -2.939
# - total energy after the MP2020 corrections (eV/cell) = -171.73
# - M_tot (μB/atom) = 0.000
data_Nd3Ga5SiO14
_cell_length_a 8.177
_cell_length_b 8.177
_cell_length_c 5.124
_cell_angle_alpha 90.00
_cell_angle_beta 90.00
_cell_angle_gamma 120.00
_symmetry_space_group_name_H-M 'P 1'
_symmetry_Int_Tables_number 1
loop_
_symmetry_equiv_pos_as_xyz
'x,y,z'
loop_
_atom_site_label
_atom_site_fract_x
_atom_site_fract_y
_atom_site_fract_z
_atom_site_occupancy
Nd1 0.009 0.587 0.000 1
Nd2 0.413 0.422 0.000 1
Nd3 0.578 0.991 0.000 1
Ga1 0.000 0.000 0.006 1
Ga2 0.238 0.002 0.510 1
Ga3 0.333 0.667 0.531 1
Ga4 0.764 0.762 0.510 1
Ga5 0.998 0.236 0.510 1
Si1 0.667 0.333 0.456 1
O1 0.084 0.858 0.242 1
O2 0.141 0.460 0.705 1
O3 0.142 0.226 0.242 1
O4 0.223 0.151 0.766 1
O5 0.319 0.859 0.705 1
O6 0.333 0.667 0.176 1
O7 0.476 0.156 0.319 1
O8 0.540 0.681 0.705 1
O9 0.667 0.333 0.774 1
O10 0.679 0.524 0.319 1
O11 0.774 0.916 0.242 1
O12 0.844 0.321 0.319 1
O13 0.849 0.072 0.766 1
O14 0.928 0.777 0.766 1



9.
# CsRb2AuF6 PBE optimized geometry
# - ΔE_f (eV per atom) = -2.257
# - total energy after the MP2020 corrections (eV/cell) = -40.19
# - M_tot (μB/atom) = 0.200
data_CsRb2AuF6
_cell_length_a 6.929
_cell_length_b 6.929
_cell_length_c 6.929
_cell_angle_alpha 60.00
_cell_angle_beta 60.00
_cell_angle_gamma 60.00
_symmetry_space_group_name_H-M 'P 1'
_symmetry_Int_Tables_number 1
loop_
_symmetry_equiv_pos_as_xyz
'x,y,z'
loop_
_atom_site_label
_atom_site_fract_x
_atom_site_fract_y
_atom_site_fract_z
_atom_site_occupancy
Cs1 0.000 0.000 0.000 1
Rb1 0.250 0.250 0.250 1
Rb2 0.750 0.750 0.750 1
Au1 0.500 0.500 0.500 1
F1 0.280 0.280 0.720 1
F2 0.280 0.720 0.280 1
F3 0.280 0.720 0.720 1
F4 0.720 0.280 0.280 1
F5 0.720 0.280 0.720 1
F6 0.720 0.720 0.280 1



The lowest ΔE_f belongs to which entry?
Nd3Ga5SiO14



What is the ΔE_f in the seventh record?
-2.847 eV per atom



Among the records above, which one has the lowest ΔE_f?
Nd3Ga5SiO14